Record 1
This record from the Materials Project describes an optimized crystal structure of Sr4Ru3O10. The functional is meta-GGA r2SCAN. Values from VASP.

Properties
E ... -467.531 eV/cell

Quantum ESPRESSO input file:
```
&SYSTEM
  ibrav = 0, nat = 34, ntyp = 3
/
ATOMIC_SPECIES
Sr 87.62 Sr.upf
Ru 101.07 Ru.upf
O 16.00 O.upf
CELL_PARAMETERS angstrom
1.948 12.369 -7.565
-5.720 -9.105 9.920
3.747 1.667 3.690
ATOMIC_POSITIONS crystal
Sr 0.704 0.296 0.000
Sr 0.204 0.796 0.500
Sr 0.430 0.570 0.000
Sr 0.070 0.930 0.500
Sr 0.570 0.430 0.000
Sr 0.296 0.704 0.000
Sr 0.796 0.204 0.500
Sr 0.930 0.070 0.500
Ru 0.860 0.140 0.000
Ru 0.640 0.360 0.500
Ru 0.500 0.500 0.500
Ru 0.140 0.860 0.000
Ru 0.360 0.640 0.500
Ru 0.000 0.000 0.000
O 0.797 0.797 0.703
O 0.577 0.855 0.784
O 0.210 0.790 0.000
O 0.423 0.145 0.216
O 0.703 0.703 0.203
O 0.145 0.423 0.216
O 0.069 0.931 0.000
O 0.290 0.710 0.500
O 0.931 0.069 0.000
O 0.297 0.297 0.797
O 0.355 0.077 0.716
O 0.790 0.210 0.000
O 0.923 0.645 0.284
O 0.077 0.355 0.716
O 0.431 0.569 0.500
O 0.203 0.203 0.297
O 0.710 0.290 0.500
O 0.645 0.923 0.284
O 0.569 0.431 0.500
O 0.855 0.577 0.784
```

Record 2
This record from the Materials Project describes an optimized crystal structure of Tb3RuO7. The functional is meta-GGA r2SCAN. Values from VASP.

Properties
E ... -389.593 eV/cell

Quantum ESPRESSO input file:
```
&SYSTEM
  ibrav = 0, nat = 22, ntyp = 3
/
ATOMIC_SPECIES
Tb 158.93 Tb.upf
Ru 101.07 Ru.upf
O 16.00 O.upf
CELL_PARAMETERS angstrom
-4.931 1.238 -3.862
-0.935 -5.443 3.204
-3.292 3.747 5.405
ATOMIC_POSITIONS crystal
Tb 0.000 0.000 0.500
Tb 0.000 0.000 0.000
Tb 0.523 0.076 0.250
Tb 0.924 0.477 0.750
Tb 0.477 0.924 0.750
Tb 0.076 0.523 0.250
Ru 0.500 0.500 0.500
Ru 0.500 0.500 0.000
O 0.438 0.183 0.539
O 0.817 0.562 0.461
O 0.438 0.183 0.961
O 0.817 0.562 0.039
O 0.562 0.817 0.461
O 0.183 0.438 0.539
O 0.562 0.817 0.039
O 0.183 0.438 0.961
O 0.157 0.892 0.250
O 0.108 0.843 0.750
O 0.843 0.108 0.750
O 0.892 0.157 0.250
O 0.411 0.411 0.250
O 0.589 0.589 0.750
```

Record 3
This record from the Materials Project describes an optimized crystal structure of Tl2Ru2O7. The functional is meta-GGA r2SCAN. Values from VASP.

Properties
E ... -421.228 eV/cell

Quantum ESPRESSO input file:
```
&SYSTEM
  ibrav = 0, nat = 22, ntyp = 3
/
ATOMIC_SPECIES
Tl 204.38 Tl.upf
Ru 101.07 Ru.upf
O 16.00 O.upf
CELL_PARAMETERS angstrom
-0.001 5.121 5.121
5.121 0.000 5.121
5.121 5.121 0.000
ATOMIC_POSITIONS crystal
Tl 0.125 0.125 0.625
Tl 0.125 0.625 0.125
Tl 0.625 0.125 0.125
Tl 0.125 0.125 0.125
Ru 0.625 0.625 0.125
Ru 0.625 0.125 0.625
Ru 0.125 0.625 0.625
Ru 0.625 0.625 0.625
O 0.250 0.250 0.250
O 0.000 0.000 0.000
O 0.550 0.950 0.550
O 0.300 0.700 0.300
O 0.550 0.550 0.950
O 0.950 0.550 0.550
O 0.550 0.950 0.950
O 0.950 0.950 0.550
O 0.950 0.550 0.950
O 0.700 0.300 0.300
O 0.300 0.700 0.700
O 0.700 0.300 0.700
O 0.300 0.300 0.700
O 0.700 0.700 0.300
```

Record 4
This record from the Materials Project describes an optimized crystal structure of Sb2S3O12. The functional is meta-GGA r2SCAN. Values from VASP.

Properties
E ... -683.329 eV/cell
Polymorph energy (0 for the lowest one) ... 19 meV/atom

Quantum ESPRESSO input file:
```
&SYSTEM
  ibrav = 0, nat = 68, ntyp = 3
/
ATOMIC_SPECIES
Sb 121.76 Sb.upf
S 32.06 S.upf
O 16.00 O.upf
CELL_PARAMETERS angstrom
-7.964 2.332 2.840
-1.796 -8.250 1.737
2.900 -6.678 13.616
ATOMIC_POSITIONS crystal
Sb 0.467 0.359 0.388
Sb 0.967 0.641 0.112
Sb 0.514 0.887 0.883
Sb 0.014 0.113 0.617
Sb 0.986 0.887 0.383
Sb 0.486 0.113 0.117
Sb 0.033 0.359 0.888
Sb 0.533 0.641 0.612
S 0.747 0.473 0.499
S 0.638 0.728 0.186
S 0.847 0.087 0.816
S 0.138 0.272 0.314
S 0.347 0.913 0.684
S 0.247 0.527 0.001
S 0.753 0.473 0.999
S 0.653 0.087 0.316
S 0.862 0.728 0.686
S 0.153 0.913 0.184
S 0.362 0.272 0.814
S 0.253 0.527 0.501
O 0.133 0.393 0.562
O 0.165 0.764 0.165
O 0.297 0.513 0.412
O 0.372 0.134 0.785
O 0.614 0.514 0.431
O 0.787 0.633 0.221
O 0.614 0.818 0.076
O 0.962 0.158 0.729
O 0.698 0.069 0.776
O 0.798 0.282 0.541
O 0.897 0.912 0.906
O 0.512 0.588 0.243
O 0.012 0.412 0.257
O 0.397 0.088 0.594
O 0.298 0.718 0.959
O 0.198 0.931 0.724
O 0.114 0.182 0.424
O 0.462 0.842 0.771
O 0.287 0.367 0.279
O 0.114 0.486 0.069
O 0.797 0.487 0.088
O 0.665 0.236 0.335
O 0.872 0.866 0.715
O 0.633 0.607 0.938
O 0.367 0.393 0.062
O 0.128 0.134 0.285
O 0.335 0.764 0.665
O 0.203 0.513 0.912
O 0.886 0.514 0.931
O 0.713 0.633 0.721
O 0.538 0.158 0.229
O 0.886 0.818 0.576
O 0.802 0.069 0.276
O 0.702 0.282 0.041
O 0.603 0.912 0.406
O 0.988 0.588 0.743
O 0.488 0.412 0.757
O 0.103 0.088 0.094
O 0.202 0.718 0.459
O 0.302 0.931 0.224
O 0.038 0.842 0.271
O 0.386 0.182 0.924
O 0.213 0.367 0.779
O 0.386 0.486 0.569
O 0.628 0.866 0.215
O 0.703 0.487 0.588
O 0.835 0.236 0.835
O 0.867 0.607 0.438
```

Record 5
This record from the Materials Project describes an optimized crystal structure of Sb2S3O12. The functional is meta-GGA r2SCAN. Values from VASP.

Properties
E ... -341.708 eV/cell
Polymorph energy (0 for the lowest one) ... 18 meV/atom

Quantum ESPRESSO input file:
```
&SYSTEM
  ibrav = 0, nat = 34, ntyp = 3
/
ATOMIC_SPECIES
Sb 121.76 Sb.upf
S 32.06 S.upf
O 16.00 O.upf
CELL_PARAMETERS angstrom
7.754 -4.514 -0.276
7.754 4.514 -0.276
5.392 0.000 7.177
ATOMIC_POSITIONS crystal
Sb 0.857 0.857 0.857
Sb 0.666 0.666 0.666
Sb 0.334 0.334 0.334
Sb 0.143 0.143 0.143
S 0.552 0.956 0.224
S 0.776 0.448 0.044
S 0.044 0.776 0.448
S 0.956 0.224 0.552
S 0.224 0.552 0.956
S 0.448 0.044 0.776
O 0.840 0.823 0.521
O 0.521 0.840 0.823
O 0.444 0.903 0.192
O 0.745 0.915 0.096
O 0.823 0.521 0.840
O 0.085 0.904 0.255
O 0.808 0.556 0.097
O 0.555 0.871 0.407
O 0.593 0.445 0.129
O 0.097 0.808 0.556
O 0.904 0.255 0.085
O 0.129 0.593 0.445
O 0.871 0.407 0.555
O 0.096 0.745 0.915
O 0.903 0.192 0.444
O 0.407 0.555 0.871
O 0.445 0.129 0.593
O 0.192 0.444 0.903
O 0.915 0.096 0.745
O 0.177 0.479 0.160
O 0.255 0.085 0.904
O 0.556 0.097 0.808
O 0.479 0.160 0.177
O 0.160 0.177 0.479
```

Record 6
This record from the Materials Project describes an optimized crystal structure of Sb2S3O12. The functional is meta-GGA r2SCAN. Values from VASP.

Properties
E ... -341.760 eV/cell
Polymorph energy (0 for the lowest one) ... 16 meV/atom

Quantum ESPRESSO input file:
```
&SYSTEM
  ibrav = 0, nat = 34, ntyp = 3
/
ATOMIC_SPECIES
Sb 121.76 Sb.upf
S 32.06 S.upf
O 16.00 O.upf
CELL_PARAMETERS angstrom
7.201 -4.613 -0.281
7.201 4.613 -0.281
4.539 0.000 7.253
ATOMIC_POSITIONS crystal
Sb 0.850 0.850 0.850
Sb 0.650 0.650 0.650
Sb 0.150 0.150 0.150
Sb 0.350 0.350 0.350
S 0.250 0.595 0.905
S 0.405 0.095 0.750
S 0.095 0.750 0.405
S 0.905 0.250 0.595
S 0.595 0.905 0.250
S 0.750 0.405 0.095
O 0.399 0.616 0.731
O 0.269 0.601 0.384
O 0.449 0.927 0.191
O 0.573 0.051 0.309
O 0.101 0.769 0.884
O 0.231 0.116 0.899
O 0.384 0.269 0.601
O 0.691 0.427 0.949
O 0.073 0.809 0.551
O 0.809 0.551 0.073
O 0.949 0.691 0.427
O 0.116 0.899 0.231
O 0.884 0.101 0.769
O 0.191 0.449 0.927
O 0.051 0.309 0.573
O 0.309 0.573 0.051
O 0.927 0.191 0.449
O 0.616 0.731 0.399
O 0.769 0.884 0.101
O 0.899 0.231 0.116
O 0.551 0.073 0.809
O 0.427 0.949 0.691
O 0.731 0.399 0.616
O 0.601 0.384 0.269
```

Record 7
This record from the Materials Project describes an optimized crystal structure of Sb2S3O12. The functional is meta-GGA r2SCAN. Values from VASP.

Properties
E ... -684.626 eV/cell
Polymorph energy (0 for the lowest one) ... 0 meV/atom

Quantum ESPRESSO input file:
```
&SYSTEM
  ibrav = 0, nat = 68, ntyp = 3
/
ATOMIC_SPECIES
Sb 121.76 Sb.upf
S 32.06 S.upf
O 16.00 O.upf
CELL_PARAMETERS angstrom
-0.253 4.353 -1.969
-12.748 0.576 2.909
-7.089 6.332 14.907
ATOMIC_POSITIONS crystal
Sb 0.696 0.118 0.060
Sb 0.196 0.882 0.440
Sb 0.304 0.882 0.940
Sb 0.804 0.118 0.560
Sb 0.930 0.350 0.220
Sb 0.430 0.650 0.280
Sb 0.070 0.650 0.780
Sb 0.570 0.350 0.720
S 0.136 0.163 0.891
S 0.636 0.837 0.609
S 0.864 0.837 0.109
S 0.364 0.163 0.391
S 0.176 0.175 0.172
S 0.676 0.825 0.328
S 0.824 0.825 0.828
S 0.324 0.175 0.672
S 0.437 0.558 0.111
S 0.937 0.442 0.389
S 0.563 0.442 0.889
S 0.063 0.558 0.611
O 0.146 0.272 0.789
O 0.646 0.728 0.711
O 0.854 0.728 0.211
O 0.354 0.272 0.289
O 0.950 0.206 0.935
O 0.450 0.794 0.565
O 0.050 0.794 0.065
O 0.550 0.206 0.435
O 0.418 0.136 0.930
O 0.918 0.864 0.570
O 0.582 0.864 0.070
O 0.082 0.136 0.430
O 0.013 0.052 0.902
O 0.513 0.948 0.598
O 0.987 0.948 0.098
O 0.487 0.052 0.402
O 0.064 0.148 0.106
O 0.477 0.170 0.169
O 0.523 0.830 0.831
O 0.023 0.170 0.669
O 0.957 0.564 0.685
O 0.457 0.436 0.815
O 0.043 0.436 0.315
O 0.543 0.564 0.185
O 0.365 0.516 0.629
O 0.865 0.484 0.871
O 0.635 0.484 0.371
O 0.135 0.516 0.129
O 0.067 0.682 0.518
O 0.567 0.318 0.982
O 0.933 0.318 0.482
O 0.433 0.682 0.018
O 0.893 0.468 0.606
O 0.393 0.532 0.894
O 0.107 0.532 0.394
O 0.607 0.468 0.106
O 0.445 0.092 0.765
O 0.945 0.908 0.735
O 0.555 0.908 0.235
O 0.055 0.092 0.265
O 0.420 0.310 0.630
O 0.920 0.690 0.870
O 0.580 0.690 0.370
O 0.080 0.310 0.130
O 0.436 0.148 0.606
O 0.936 0.852 0.894
O 0.564 0.852 0.394
O 0.977 0.830 0.331
```

Record 8
This record from the Materials Project describes an optimized crystal structure of Yb5Si3SO12. The functional is meta-GGA r2SCAN. Values from VASP.

Properties
E ... -723.159 eV/cell

Quantum ESPRESSO input file:
```
&SYSTEM
  ibrav = 0, nat = 42, ntyp = 4
/
ATOMIC_SPECIES
Yb 173.04 Yb.upf
Si 28.09 Si.upf
S 32.06 S.upf
O 16.00 O.upf
CELL_PARAMETERS angstrom
-3.228 7.819 -4.646
-3.082 -8.770 -2.594
-4.758 0.464 4.087
ATOMIC_POSITIONS crystal
Yb 0.749 0.961 0.750
Yb 0.788 0.749 0.250
Yb 0.961 0.212 0.250
Yb 0.039 0.788 0.750
Yb 0.212 0.251 0.750
Yb 0.251 0.039 0.250
Yb 0.333 0.667 0.495
Yb 0.667 0.333 0.995
Yb 0.667 0.333 0.505
Yb 0.333 0.667 0.005
Si 0.580 0.610 0.750
Si 0.971 0.580 0.250
Si 0.610 0.029 0.250
Si 0.390 0.971 0.750
Si 0.029 0.420 0.750
Si 0.420 0.390 0.250
S 0.000 0.000 0.000
S 0.000 0.000 0.500
O 0.363 0.272 0.458
O 0.090 0.363 0.958
O 0.272 0.910 0.958
O 0.728 0.090 0.458
O 0.910 0.637 0.458
O 0.637 0.728 0.958
O 0.637 0.728 0.542
O 0.910 0.637 0.042
O 0.728 0.090 0.042
O 0.272 0.910 0.542
O 0.090 0.363 0.542
O 0.363 0.272 0.042
O 0.383 0.527 0.750
O 0.856 0.383 0.250
O 0.527 0.144 0.250
O 0.473 0.856 0.750
O 0.144 0.617 0.750
O 0.617 0.473 0.250
O 0.364 0.521 0.250
O 0.843 0.364 0.750
O 0.521 0.157 0.750
O 0.479 0.843 0.250
O 0.157 0.636 0.250
O 0.636 0.479 0.750
```

Record 9
This record from the Materials Project describes an optimized crystal structure of SnSO4. The functional is meta-GGA r2SCAN. Values from VASP.

Properties
E ... -262.167 eV/cell

Quantum ESPRESSO input file:
```
&SYSTEM
  ibrav = 0, nat = 24, ntyp = 3
/
ATOMIC_SPECIES
Sn 118.71 Sn.upf
S 32.06 S.upf
O 16.00 O.upf
CELL_PARAMETERS angstrom
-0.643 0.552 -5.290
-7.097 0.557 0.921
0.798 8.802 0.821
ATOMIC_POSITIONS crystal
Sn 0.750 0.720 0.286
Sn 0.250 0.280 0.714
Sn 0.250 0.220 0.214
Sn 0.750 0.780 0.786
S 0.750 0.324 0.920
S 0.250 0.676 0.080
S 0.250 0.824 0.580
S 0.750 0.176 0.420
O 0.750 0.400 0.071
O 0.250 0.600 0.929
O 0.250 0.900 0.429
O 0.750 0.100 0.571
O 0.750 0.470 0.800
O 0.250 0.530 0.200
O 0.250 0.970 0.700
O 0.750 0.030 0.300
O 0.976 0.207 0.896
O 0.476 0.793 0.104
O 0.024 0.707 0.604
O 0.524 0.293 0.396
O 0.024 0.793 0.104
O 0.524 0.207 0.896
O 0.976 0.293 0.396
O 0.476 0.707 0.604
```

Record 10
This record from the Materials Project describes an optimized crystal structure of SnSO4. The functional is meta-GGA r2SCAN. Values from VASP.

Properties
E ... -262.202 eV/cell

Quantum ESPRESSO input file:
```
&SYSTEM
  ibrav = 0, nat = 24, ntyp = 3
/
ATOMIC_SPECIES
Sn 118.71 Sn.upf
S 32.06 S.upf
O 16.00 O.upf
CELL_PARAMETERS angstrom
-4.746 -2.047 1.117
-0.890 -1.620 -7.053
3.794 -8.047 1.374
ATOMIC_POSITIONS crystal
Sn 0.736 0.267 0.705
Sn 0.264 0.733 0.295
Sn 0.236 0.767 0.795
Sn 0.764 0.233 0.205
S 0.242 0.317 0.916
S 0.258 0.183 0.416
S 0.742 0.817 0.584
S 0.758 0.683 0.084
O 0.749 0.966 0.698
O 0.513 0.703 0.613
O 0.751 0.534 0.198
O 0.029 0.297 0.391
O 0.971 0.703 0.609
O 0.986 0.797 0.113
O 0.249 0.466 0.802
O 0.262 0.114 0.567
O 0.251 0.034 0.302
O 0.487 0.297 0.387
O 0.014 0.203 0.887
O 0.762 0.614 0.933
O 0.471 0.203 0.891
O 0.529 0.797 0.109
O 0.238 0.386 0.067
O 0.738 0.886 0.433
```

no.,formation energy from the elements (meV/atom),theoretical density (g/cm3)
1,-2187,6.18
2,-3080,8.18
3,-1054,8.94
4,-1391,3.63
5,-1392,3.42
6,-1394,3.58
7,-1410,3.96
8,-3472,7.68
9,-1479,4.18
10,-1480,4.11